Record 1
DFT (PBE) results for crystalline Na5SiP3 at its relaxed geometry.

abc: 7.352 7.957 15.292
angles: 59.41 90.00 90.00
Sites, in units of the cell vectors:
Na 0.509 0.557 0.257
Na 0.009 0.443 0.243
Na 0.491 0.443 0.743
Na 0.991 0.557 0.757
Na 0.983 0.913 0.413
Na 0.483 0.087 0.087
Na 0.017 0.087 0.587
Na 0.517 0.913 0.913
Na 0.529 0.257 0.582
Na 0.029 0.743 0.918
Na 0.471 0.743 0.418
Na 0.971 0.257 0.082
Na 0.154 0.837 0.241
Na 0.654 0.163 0.259
Na 0.846 0.163 0.759
Na 0.346 0.837 0.741
Na 0.337 0.159 0.418
Na 0.837 0.841 0.082
Na 0.663 0.841 0.582
Na 0.163 0.159 0.918
Si 0.638 0.511 0.917
Si 0.138 0.489 0.583
Si 0.362 0.489 0.083
Si 0.862 0.511 0.417
P 0.742 0.242 0.421
P 0.242 0.758 0.079
P 0.258 0.758 0.579
P 0.758 0.242 0.921
P 0.771 0.797 0.280
P 0.271 0.203 0.220
P 0.229 0.203 0.720
P 0.729 0.797 0.780
P 0.321 0.480 0.935
P 0.821 0.520 0.565
P 0.679 0.520 0.065
P 0.179 0.480 0.435

Values from the calculation:
Mass density (kg/m3): 2035
DFT formation energy (meV/atom): -413


Record 2
DFT (PBE) results for crystalline CsB10H13C at its relaxed geometry.

abc: 10.782 8.102 12.424
angles: 86.31 90.00 90.00
Sites, in units of the cell vectors:
Cs 0.257 0.157 0.989
Cs 0.757 0.843 0.511
Cs 0.243 0.157 0.489
Cs 0.743 0.843 0.011
B 0.069 0.807 0.866
B 0.636 0.413 0.857
B 0.570 0.215 0.862
B 0.985 0.631 0.837
B 0.225 0.770 0.824
B 0.727 0.223 0.825
B 0.484 0.388 0.804
B 0.095 0.496 0.778
B 0.974 0.812 0.750
B 0.124 0.906 0.744
B 0.624 0.094 0.756
B 0.474 0.188 0.750
B 0.595 0.504 0.722
B 0.984 0.612 0.696
B 0.227 0.777 0.675
B 0.725 0.230 0.676
B 0.485 0.369 0.663
B 0.070 0.785 0.638
B 0.136 0.587 0.643
B 0.569 0.193 0.634
B 0.431 0.807 0.366
B 0.864 0.413 0.357
B 0.930 0.215 0.362
B 0.515 0.631 0.337
B 0.275 0.770 0.324
B 0.773 0.223 0.325
B 0.016 0.388 0.304
B 0.405 0.496 0.278
B 0.526 0.812 0.250
B 0.376 0.906 0.244
B 0.876 0.094 0.256
B 0.026 0.188 0.250
B 0.905 0.504 0.222
B 0.516 0.612 0.196
B 0.273 0.777 0.175
B 0.775 0.230 0.176
B 0.015 0.369 0.163
B 0.430 0.785 0.138
B 0.364 0.587 0.143
B 0.931 0.193 0.134
H 0.154 0.566 0.954
H 0.050 0.877 0.946
H 0.646 0.485 0.938
H 0.548 0.154 0.951
H 0.906 0.573 0.895
H 0.309 0.820 0.876
H 0.805 0.159 0.882
H 0.397 0.446 0.848
H 0.081 0.350 0.798
H 0.699 0.496 0.785
H 0.634 0.946 0.766
H 0.788 0.311 0.753
H 0.880 0.893 0.743
H 0.380 0.107 0.757
H 0.288 0.689 0.747
H 0.134 0.054 0.734
H 0.199 0.504 0.715
H 0.581 0.650 0.702
H 0.897 0.554 0.652
H 0.305 0.841 0.618
H 0.809 0.180 0.624
H 0.406 0.427 0.605
H 0.048 0.846 0.549
H 0.146 0.515 0.562
H 0.550 0.123 0.554
H 0.654 0.434 0.546
H 0.346 0.566 0.454
H 0.450 0.877 0.446
H 0.854 0.485 0.438
H 0.952 0.154 0.451
H 0.594 0.573 0.395
H 0.191 0.820 0.376
H 0.695 0.159 0.382
H 0.103 0.446 0.348
H 0.419 0.350 0.298
H 0.801 0.496 0.285
H 0.866 0.946 0.266
H 0.712 0.311 0.253
H 0.620 0.893 0.243
H 0.120 0.107 0.257
H 0.212 0.689 0.247
H 0.366 0.054 0.234
H 0.301 0.504 0.215
H 0.919 0.650 0.202
H 0.603 0.554 0.152
H 0.195 0.841 0.118
H 0.691 0.180 0.124
H 0.094 0.427 0.105
H 0.452 0.846 0.049
H 0.354 0.515 0.062
H 0.950 0.123 0.054
H 0.846 0.434 0.046
C 0.135 0.619 0.873
C 0.635 0.381 0.627
C 0.365 0.619 0.373
C 0.865 0.381 0.127

Values from the calculation:
Mass density (kg/m3): 1632
Total magnetic moment (μB/cell): 0.002
DFT formation energy (meV/atom): -219